First-principles (PBE with a Hubbard U) data for a relaxed Li5VO3F2 crystal, as listed in the Materials Project.

a = 7.195 Å, b = 9.669 Å, c = 7.197 Å
α = 72.51°, β = 67.80°, γ = 72.51°
Atoms (fractional coordinates):
Li1 0.249 0.999 0.249
Li2 0.999 0.499 0.499
Li3 0.499 0.499 0.999
Li4 0.749 0.999 0.749
Li5 0.190 0.829 0.689
Li6 0.940 0.329 0.939
Li7 0.440 0.329 0.439
Li8 0.690 0.829 0.189
Li9 0.560 0.673 0.559
Li10 0.310 0.173 0.809
Li11 0.810 0.173 0.309
Li12 0.060 0.673 0.059
Li13 0.905 0.797 0.403
Li14 0.655 0.297 0.653
Li15 0.155 0.297 0.153
Li16 0.405 0.797 0.903
Li17 0.847 0.705 0.845
Li18 0.597 0.205 0.095
Li19 0.097 0.205 0.595
Li20 0.347 0.705 0.345
V1 0.750 0.501 0.249
V2 0.000 0.001 0.999
V3 0.500 0.001 0.499
V4 0.250 0.501 0.749
O1 0.000 0.501 0.999
O2 0.750 0.001 0.249
O3 0.250 0.001 0.749
O4 0.500 0.501 0.499
O5 0.910 0.861 0.909
O6 0.660 0.361 0.159
O7 0.160 0.361 0.659
O8 0.410 0.861 0.409
O9 0.840 0.642 0.339
O10 0.590 0.142 0.589
O11 0.090 0.142 0.089
O12 0.340 0.642 0.839
F1 0.672 0.827 0.670
F2 0.422 0.327 0.920
F3 0.922 0.327 0.420
F4 0.172 0.827 0.170
F5 0.080 0.677 0.578
F6 0.830 0.177 0.828
F7 0.330 0.177 0.328
F8 0.580 0.677 0.078

Calculated values
**Spin magnetization**: 0.0 μB/f.u.
**Formation energy**: -245.2 kJ/mol of atoms
**Total energy**: -5.51 eV per atom
**Energy relative to the lowest polymorph listed for this composition**: 0 meV/atom

First-principles (PBE with a Hubbard U) data for a relaxed Li4V8O13F3 crystal, as listed in the Materials Project.

a = 6.001 Å, b = 6.001 Å, c = 10.519 Å
α = 90.65°, β = 106.11°, γ = 118.30°
Atoms (fractional coordinates):
Li1 0.123 0.329 0.942
Li2 0.884 0.162 0.557
Li3 0.110 0.833 0.446
Li4 0.890 0.669 0.057
V1 0.482 0.241 0.761
V2 0.505 0.495 0.501
V3 0.001 0.752 0.756
V4 0.489 0.008 0.996
V5 0.498 0.249 0.249
V6 0.499 0.748 0.750
V7 0.997 0.249 0.250
V8 0.498 0.750 0.249
O1 0.249 0.117 0.866
O2 0.707 0.124 0.863
O3 0.730 0.606 0.855
O4 0.261 0.162 0.370
O5 0.270 0.667 0.872
O6 0.705 0.609 0.371
O7 0.262 0.887 0.650
O8 0.738 0.109 0.353
O9 0.300 0.375 0.635
O10 0.736 0.338 0.129
O11 0.731 0.828 0.630
O12 0.259 0.390 0.148
O13 0.293 0.891 0.128
F1 0.749 0.373 0.629
F2 0.249 0.620 0.376
F3 0.748 0.880 0.126

Calculated values
**Symmetry**: P1
**Spin magnetization**: 15.0 μB/f.u.
**Formation energy**: -250.4 kJ/mol of atoms
**Total energy**: -7.11 eV per atom

First-principles (PBE with a Hubbard U) data for a relaxed LiV4OF11 crystal, as listed in the Materials Project.

a = 5.409 Å, b = 5.647 Å, c = 16.675 Å
α = 82.92°, β = 81.16°, γ = 61.63°
Atoms (fractional coordinates):
Li1 0.037 0.101 0.818
Li2 0.858 0.703 0.575
V1 0.506 0.496 0.499
V2 0.616 0.629 0.124
V3 0.738 0.757 0.748
V4 0.247 0.252 0.249
V5 0.879 0.877 0.373
V6 0.161 0.104 0.626
V7 0.400 0.360 0.882
V8 0.984 0.009 0.000
O1 0.519 0.909 0.661
O2 0.741 0.170 0.912
F1 0.233 0.840 0.087
F2 0.187 0.800 0.564
F3 0.702 0.316 0.065
F4 0.530 0.940 0.188
F5 0.565 0.512 0.785
F6 0.034 0.041 0.284
F7 0.753 0.346 0.589
F8 0.784 0.787 0.037
F9 0.722 0.724 0.471
F10 0.004 0.418 0.163
F11 0.961 0.561 0.315
F12 0.047 0.456 0.678
F13 0.002 0.571 0.835
F14 0.284 0.288 0.532
F15 0.488 0.085 0.340
F16 0.193 0.226 0.965
F17 0.965 0.978 0.723
F18 0.266 0.670 0.409
F19 0.454 0.465 0.214
F20 0.426 0.061 0.816
F21 0.275 0.709 0.931
F22 0.801 0.182 0.437

Calculated values
**Symmetry**: P1
**Spin magnetization**: 8.0 μB/f.u.
**Formation energy**: -298.9 kJ/mol of atoms
**Total energy**: -6.14 eV per atom
**Energy relative to the lowest polymorph listed for this composition**: 24 meV/atom

First-principles (PBE with a Hubbard U) data for a relaxed Li6VO4F crystal, as listed in the Materials Project.

a = 5.269 Å, b = 9.056 Å, c = 10.819 Å
α = 66.87°, β = 101.49°, γ = 84.01°
Atoms (fractional coordinates):
Li1 0.744 0.847 0.741
Li2 0.245 0.347 0.741
Li3 0.246 0.162 0.241
Li4 0.746 0.662 0.241
Li5 0.648 0.977 0.243
Li6 0.148 0.477 0.243
Li7 0.345 0.030 0.743
Li8 0.845 0.530 0.743
Li9 0.155 0.362 0.001
Li10 0.655 0.862 0.001
Li11 0.596 0.887 0.501
Li12 0.096 0.387 0.501
Li13 0.413 0.139 0.504
Li14 0.912 0.640 0.504
Li15 0.341 0.106 0.004
Li16 0.841 0.606 0.004
Li17 0.072 0.910 0.450
Li18 0.572 0.410 0.450
Li19 0.127 0.889 0.950
Li20 0.627 0.389 0.950
Li21 0.859 0.135 0.062
Li22 0.359 0.635 0.062
Li23 0.953 0.054 0.561
Li24 0.452 0.554 0.561
V1 0.281 0.721 0.741
V2 0.710 0.288 0.242
V3 0.781 0.221 0.741
V4 0.210 0.788 0.242
O1 0.497 0.224 0.099
O2 0.997 0.724 0.099
O3 0.352 0.927 0.599
O4 0.851 0.427 0.599
O5 0.645 0.100 0.393
O6 0.145 0.600 0.393
O7 0.498 0.758 0.892
O8 0.998 0.258 0.892
O9 0.930 0.765 0.618
O10 0.431 0.265 0.618
O11 0.937 0.366 0.118
O12 0.437 0.866 0.118
O13 0.038 0.980 0.253
O14 0.538 0.480 0.253
O15 0.965 0.017 0.752
O16 0.465 0.517 0.752
F1 0.078 0.588 0.896
F2 0.578 0.088 0.896
F3 0.069 0.266 0.395
F4 0.568 0.767 0.395

Calculated values
**Symmetry**: P1
**Spin magnetization**: 2.0 μB/f.u.
**Formation energy**: -221.0 kJ/mol of atoms
**Total energy**: -5.40 eV per atom

First-principles (PBE with a Hubbard U) data for a relaxed LiV2OF5 crystal, as listed in the Materials Project.

a = 5.312 Å, b = 5.524 Å, c = 17.155 Å
α = 84.66°, β = 81.78°, γ = 61.29°
Atoms (fractional coordinates):
Li1 0.200 0.110 0.437
Li2 0.630 0.778 0.928
Li3 0.283 0.397 0.064
Li4 0.360 0.557 0.673
V1 0.648 0.607 0.132
V2 0.227 0.266 0.245
V3 0.861 0.899 0.375
V4 0.764 0.733 0.746
V5 0.114 0.150 0.628
V6 0.021 0.978 0.998
V7 0.515 0.483 0.495
V8 0.376 0.391 0.877
O1 0.026 0.410 0.156
O2 0.049 0.443 0.687
O3 0.796 0.192 0.437
O4 0.302 0.686 0.936
F1 0.239 0.800 0.089
F2 0.693 0.301 0.061
F3 0.224 0.802 0.569
F4 0.540 0.952 0.179
F5 0.695 0.345 0.597
F6 0.516 0.527 0.775
F7 0.791 0.761 0.025
F8 0.032 0.035 0.283
F9 0.707 0.727 0.464
F10 0.519 0.921 0.663
F11 0.947 0.570 0.317
F12 0.960 0.581 0.848
F13 0.257 0.278 0.527
F14 0.448 0.101 0.343
F15 0.262 0.707 0.415
F16 0.250 0.203 0.974
F17 0.001 0.939 0.715
F18 0.460 0.463 0.219
F19 0.478 0.038 0.823
F20 0.775 0.159 0.910

Calculated values
**Symmetry**: P1
**Spin magnetization**: 4.0 μB/f.u.
**Formation energy**: -292.8 kJ/mol of atoms
**Total energy**: -6.17 eV per atom
**Energy relative to the lowest polymorph listed for this composition**: 28 meV/atom

First-principles (PBE with a Hubbard U) data for a relaxed LiVOF3 crystal, as listed in the Materials Project.

a = 7.521 Å, b = 8.848 Å, c = 8.864 Å
α = 90.00°, β = 90.00°, γ = 90.00°
Atoms (fractional coordinates):
Li1 0.500 0.751 0.001
Li2 0.000 0.749 0.999
Li3 0.126 0.600 0.350
Li4 0.374 0.400 0.850
Li5 0.500 0.251 0.499
Li6 0.000 0.249 0.501
Li7 0.874 0.100 0.150
Li8 0.626 0.900 0.650
V1 0.357 0.626 0.623
V2 0.855 0.619 0.632
V3 0.645 0.381 0.132
V4 0.143 0.374 0.123
V5 0.643 0.126 0.877
V6 0.145 0.119 0.868
V7 0.355 0.881 0.368
V8 0.857 0.874 0.377
O1 0.629 0.640 0.625
O2 0.132 0.626 0.610
O3 0.368 0.374 0.110
O4 0.871 0.360 0.125
O5 0.371 0.140 0.875
O6 0.868 0.126 0.890
O7 0.632 0.874 0.390
O8 0.129 0.860 0.375
F1 0.377 0.647 0.396
F2 0.882 0.647 0.399
F3 0.380 0.623 0.840
F4 0.892 0.635 0.840
F5 0.618 0.591 0.111
F6 0.110 0.591 0.128
F7 0.390 0.409 0.628
F8 0.882 0.409 0.611
F9 0.608 0.365 0.340
F10 0.120 0.377 0.340
F11 0.618 0.353 0.899
F12 0.123 0.353 0.896
F13 0.623 0.147 0.104
F14 0.118 0.147 0.101
F15 0.620 0.123 0.660
F16 0.108 0.135 0.660
F17 0.382 0.091 0.389
F18 0.890 0.091 0.372
F19 0.610 0.909 0.872
F20 0.118 0.909 0.889
F21 0.392 0.865 0.160
F22 0.880 0.877 0.160
F23 0.382 0.853 0.601
F24 0.877 0.853 0.604

Calculated values
**Symmetry**: P2_12_12_1
**Spin magnetization**: 1.0 μB/f.u.
**Formation energy**: -283.1 kJ/mol of atoms
**Total energy**: -5.92 eV per atom
**Energy relative to the lowest polymorph listed for this composition**: 44 meV/atom